Entry 1:
Compound: Li3Cu3P2O8
Source: the Materials Project database
Functional: PBE-GGA
Structure: relaxed

Lattice parameters (Å, degrees): 5.439 6.227 10.177 89.99 89.69 89.54
Atoms (fractional coordinates):
Li: 0.000 0.000 0.000
Li: 0.001 0.999 0.499
Li: 0.172 0.250 0.748
Li: 0.175 0.245 0.251
Li: 0.517 0.253 0.500
Li: 0.691 0.501 0.251
Cu: 0.177 0.752 0.747
Cu: 0.181 0.758 0.250
Cu: 0.507 0.262 0.996
Cu: 0.507 0.738 0.999
Cu: 0.507 0.743 0.501
Cu: 0.667 0.503 0.751
P: 0.020 0.491 0.494
P: 0.022 0.495 0.000
P: 0.676 0.006 0.249
P: 0.678 0.008 0.744
O: 0.022 0.488 0.341
O: 0.026 0.487 0.847
O: 0.139 0.706 0.543
O: 0.147 0.709 0.045
O: 0.151 0.290 0.057
O: 0.161 0.293 0.549
O: 0.522 0.206 0.792
O: 0.530 0.205 0.301
O: 0.545 0.803 0.795
O: 0.550 0.793 0.296
O: 0.680 0.009 0.591
O: 0.687 0.005 0.096
O: 0.747 0.485 0.542
O: 0.757 0.500 0.058
O: 0.941 0.015 0.800
O: 0.943 0.013 0.305

Output
SG = P1, No. 1
Distance to the lowest polymorph of the same formula = 15 meV/atom


Entry 2:
Compound: UTcO3
Source: the Materials Project database
Functional: PBE-GGA
Structure: relaxed

Lattice parameters (Å, degrees): 3.967 3.967 3.967 90.00 90.00 90.00
Atoms (fractional coordinates):
U: 0.000 0.000 0.000
Tc: 0.500 0.500 0.500
O: 0.000 0.500 0.500
O: 0.500 0.000 0.500
O: 0.500 0.500 0.000

Output
SG = Pm-3m, No. 221


Entry 3:
Compound: Ga6P8H56C14N7O32F
Source: the Materials Project database
Functional: PBE-GGA
Structure: relaxed

Lattice parameters (Å, degrees): 11.273 11.529 21.658 100.50 99.73 108.80
Atoms (fractional coordinates):
Ga: 0.009 0.345 0.173
Ga: 0.035 0.188 0.329
Ga: 0.161 0.079 0.573
Ga: 0.172 0.573 0.075
Ga: 0.336 0.584 0.244
Ga: 0.352 0.074 0.756
Ga: 0.648 0.926 0.244
Ga: 0.664 0.416 0.756
Ga: 0.828 0.427 0.925
Ga: 0.839 0.921 0.427
Ga: 0.965 0.812 0.671
Ga: 0.991 0.655 0.827
P: 0.108 0.943 0.817
P: 0.121 0.520 0.924
P: 0.125 0.026 0.421
P: 0.128 0.461 0.322
P: 0.229 0.861 0.622
P: 0.253 0.361 0.121
P: 0.352 0.304 0.694
P: 0.353 0.818 0.188
P: 0.647 0.182 0.812
P: 0.648 0.696 0.306
P: 0.747 0.639 0.879
P: 0.771 0.139 0.378
P: 0.872 0.539 0.678
P: 0.875 0.974 0.579
P: 0.879 0.480 0.076
P: 0.892 0.057 0.183
H: 0.013 0.716 0.332
H: 0.024 0.385 0.746
H: 0.032 0.142 0.833
H: 0.058 0.905 0.281
H: 0.060 0.298 0.841
H: 0.065 0.494 0.622
H: 0.066 0.444 0.512
H: 0.072 0.842 0.036
H: 0.079 0.319 0.546
H: 0.085 0.018 0.117
H: 0.088 0.976 0.004
H: 0.095 0.811 0.183
H: 0.105 0.200 0.742
H: 0.135 0.727 0.288
H: 0.206 0.594 0.612
H: 0.207 0.470 0.646
H: 0.209 0.177 0.925
H: 0.209 0.679 0.425
H: 0.220 0.984 0.136
H: 0.227 0.113 0.105
H: 0.233 0.850 0.974
H: 0.234 0.387 0.472
H: 0.243 0.839 0.441
H: 0.245 0.337 0.942
H: 0.248 0.657 0.786
H: 0.269 0.157 0.280
H: 0.276 0.770 0.503
H: 0.283 0.267 0.002
H: 0.311 0.383 0.550
H: 0.313 0.017 0.005
H: 0.317 0.530 0.533
H: 0.319 0.041 0.357
H: 0.319 0.535 0.854
H: 0.324 0.914 0.055
H: 0.332 0.491 0.776
H: 0.352 0.988 0.285
H: 0.355 0.778 0.901
H: 0.385 0.303 0.390
H: 0.392 0.276 0.886
H: 0.395 0.092 0.933
H: 0.397 0.782 0.391
H: 0.397 0.878 0.849
H: 0.398 0.699 0.765
H: 0.405 0.602 0.440
H: 0.419 0.175 0.259
H: 0.434 0.379 0.330
H: 0.441 0.280 0.547
H: 0.447 0.796 0.055
H: 0.463 0.686 0.628
H: 0.466 0.581 0.836
H: 0.467 0.890 0.468
H: 0.470 0.381 0.964
H: 0.474 0.085 0.349
H: 0.478 0.201 0.011
H: 0.480 0.713 0.518
H: 0.490 0.186 0.117
H: 0.510 0.814 0.883
H: 0.520 0.287 0.482
H: 0.522 0.799 0.989
H: 0.526 0.915 0.651
H: 0.530 0.619 0.036
H: 0.533 0.110 0.532
H: 0.534 0.419 0.164
H: 0.537 0.314 0.372
H: 0.553 0.204 0.945
H: 0.559 0.720 0.453
H: 0.566 0.621 0.670
H: 0.581 0.825 0.741
H: 0.595 0.398 0.560
H: 0.602 0.301 0.235
H: 0.603 0.122 0.151
H: 0.603 0.218 0.609
H: 0.605 0.908 0.067
H: 0.608 0.724 0.114
H: 0.615 0.697 0.610
H: 0.645 0.222 0.099
H: 0.648 0.012 0.715
H: 0.668 0.509 0.224
H: 0.676 0.086 0.945
H: 0.681 0.465 0.146
H: 0.681 0.959 0.643
H: 0.683 0.470 0.467
H: 0.687 0.983 0.995
H: 0.689 0.617 0.450
H: 0.717 0.733 0.998
H: 0.724 0.230 0.497
H: 0.731 0.843 0.720
H: 0.752 0.343 0.214
H: 0.755 0.663 0.058
H: 0.757 0.161 0.559
H: 0.766 0.613 0.528
H: 0.767 0.150 0.026
H: 0.773 0.887 0.895
H: 0.780 0.016 0.864
H: 0.791 0.321 0.575
H: 0.791 0.823 0.075
H: 0.793 0.530 0.354
H: 0.794 0.406 0.388
H: 0.865 0.273 0.712
H: 0.895 0.800 0.258
H: 0.905 0.189 0.817
H: 0.912 0.024 0.996
H: 0.915 0.982 0.883
H: 0.921 0.681 0.454
H: 0.928 0.158 0.964
H: 0.934 0.556 0.488
H: 0.935 0.506 0.378
H: 0.940 0.702 0.159
H: 0.942 0.095 0.719
H: 0.968 0.858 0.167
H: 0.976 0.615 0.254
H: 0.987 0.284 0.668
C: 0.006 0.192 0.744
C: 0.032 0.711 0.284
C: 0.131 0.417 0.545
C: 0.139 0.936 0.036
C: 0.256 0.430 0.524
C: 0.260 0.929 0.017
C: 0.352 0.681 0.805
C: 0.372 0.176 0.300
C: 0.406 0.284 0.938
C: 0.406 0.792 0.443
C: 0.408 0.794 0.863
C: 0.436 0.300 0.351
C: 0.461 0.189 0.958
C: 0.466 0.701 0.465
C: 0.534 0.299 0.535
C: 0.539 0.811 0.042
C: 0.564 0.700 0.649
C: 0.592 0.206 0.137
C: 0.594 0.208 0.557
C: 0.594 0.716 0.062
C: 0.628 0.824 0.700
C: 0.648 0.319 0.195
C: 0.740 0.071 0.983
C: 0.744 0.570 0.476
C: 0.861 0.064 0.964
C: 0.869 0.583 0.455
C: 0.968 0.289 0.716
C: 0.994 0.808 0.256
N: 0.001 0.207 0.814
N: 0.155 0.500 0.611
N: 0.171 0.019 0.103
N: 0.274 0.768 0.454
N: 0.277 0.265 0.953
N: 0.369 0.565 0.820
N: 0.380 0.066 0.325
N: 0.620 0.934 0.675
N: 0.631 0.435 0.180
N: 0.723 0.735 0.047
N: 0.726 0.232 0.546
N: 0.829 0.981 0.897
N: 0.845 0.500 0.389
N: 0.999 0.793 0.186
O: 0.001 0.090 0.246
O: 0.012 0.581 0.078
O: 0.014 0.080 0.600
O: 0.015 0.408 0.259
O: 0.080 0.034 0.869
O: 0.092 0.534 0.377
O: 0.104 0.614 0.883
O: 0.112 0.798 0.650
O: 0.112 0.822 0.837
O: 0.132 0.121 0.378
O: 0.136 0.290 0.147
O: 0.145 0.105 0.492
O: 0.156 0.345 0.340
O: 0.187 0.928 0.571
O: 0.188 0.602 0.994
O: 0.202 0.447 0.897
O: 0.206 0.425 0.068
O: 0.228 0.970 0.413
O: 0.242 0.011 0.806
O: 0.257 0.544 0.310
O: 0.268 0.898 0.195
O: 0.278 0.393 0.703
O: 0.278 0.762 0.591
O: 0.302 0.214 0.624
O: 0.305 0.266 0.089
O: 0.308 0.718 0.122
O: 0.330 0.220 0.744
O: 0.340 0.962 0.680
O: 0.360 0.753 0.245
O: 0.361 0.465 0.179
O: 0.493 0.906 0.191
O: 0.496 0.376 0.702
O: 0.504 0.624 0.298
O: 0.507 0.094 0.809
O: 0.639 0.535 0.821
O: 0.640 0.247 0.755
O: 0.660 0.038 0.320
O: 0.670 0.780 0.256
O: 0.692 0.282 0.878
O: 0.695 0.734 0.911
O: 0.698 0.786 0.376
O: 0.722 0.238 0.409
O: 0.722 0.607 0.297
O: 0.732 0.102 0.805
O: 0.743 0.456 0.690
O: 0.758 0.989 0.194
O: 0.772 0.030 0.587
O: 0.794 0.575 0.932
O: 0.798 0.553 0.103
O: 0.812 0.398 0.006
O: 0.813 0.072 0.429
O: 0.844 0.655 0.660
O: 0.855 0.895 0.508
O: 0.864 0.710 0.853
O: 0.868 0.879 0.622
O: 0.888 0.178 0.163
O: 0.888 0.202 0.350
O: 0.896 0.386 0.117
O: 0.908 0.466 0.623
O: 0.920 0.966 0.131
O: 0.985 0.592 0.741
O: 0.986 0.920 0.400
O: 0.988 0.419 0.922
O: 0.999 0.910 0.754
F: 0.156 0.534 0.182
F: 0.844 0.466 0.818

Output
SG = P-1, No. 2


Entry 4:
Compound: TbScGe
Source: the Materials Project database
Functional: PBE-GGA
Structure: relaxed

Lattice parameters (Å, degrees): 8.364 8.364 8.364 150.55 150.55 42.14
Atoms (fractional coordinates):
Tb: 0.177 0.177 0.000
Tb: 0.823 0.823 0.000
Sc: 0.000 0.500 0.500
Sc: 0.500 0.000 0.500
Ge: 0.372 0.372 0.000
Ge: 0.628 0.628 0.000

Output
SG = I4/mmm, No. 139


Entry 5:
Compound: BaCa2I6
Source: the Materials Project database
Functional: PBE-GGA
Structure: relaxed

Lattice parameters (Å, degrees): 7.695 7.695 14.695 90.00 90.00 90.00
Atoms (fractional coordinates):
Ba: 0.000 0.000 0.000
Ba: 0.500 0.500 0.500
Ca: 0.000 0.000 0.332
Ca: 0.000 0.000 0.668
Ca: 0.500 0.500 0.168
Ca: 0.500 0.500 0.832
I: 0.182 0.182 0.500
I: 0.205 0.205 0.180
I: 0.205 0.205 0.820
I: 0.295 0.705 0.320
I: 0.295 0.705 0.680
I: 0.318 0.682 0.000
I: 0.682 0.318 0.000
I: 0.705 0.295 0.320
I: 0.705 0.295 0.680
I: 0.795 0.795 0.180
I: 0.795 0.795 0.820
I: 0.818 0.818 0.500

Output
SG = P4_2/mnm, No. 136
Distance to the lowest polymorph of the same formula = 20 meV/atom


Entry 6:
Compound: AuSeClO3
Source: the Materials Project database
Functional: PBE-GGA
Structure: relaxed

Lattice parameters (Å, degrees): 4.494 9.991 10.903 82.06 88.32 88.44
Atoms (fractional coordinates):
Au: 0.000 0.000 0.000
Au: 0.000 0.000 0.500
Au: 0.005 0.579 0.186
Au: 0.995 0.421 0.814
Se: 0.208 0.712 0.904
Se: 0.280 0.136 0.730
Se: 0.720 0.864 0.270
Se: 0.792 0.288 0.096
Cl: 0.279 0.191 0.444
Cl: 0.338 0.496 0.662
Cl: 0.662 0.504 0.338
Cl: 0.721 0.809 0.556
O: 0.033 0.762 0.245
O: 0.070 0.008 0.681
O: 0.071 0.396 0.129
O: 0.081 0.173 0.069
O: 0.321 0.646 0.052
O: 0.345 0.049 0.877
O: 0.655 0.951 0.123
O: 0.679 0.354 0.948
O: 0.919 0.827 0.931
O: 0.929 0.604 0.871
O: 0.930 0.992 0.319
O: 0.967 0.238 0.755

Output
SG = P-1, No. 2


Entry 7:
Compound: Li2CuSiO4
Source: the Materials Project database
Functional: PBE-GGA
Structure: relaxed

Lattice parameters (Å, degrees): 10.642 6.305 5.008 90.00 90.00 90.00
Atoms (fractional coordinates):
Li: 0.089 0.002 0.181
Li: 0.089 0.498 0.181
Li: 0.411 0.502 0.681
Li: 0.411 0.998 0.681
Li: 0.589 0.002 0.319
Li: 0.589 0.498 0.319
Li: 0.911 0.502 0.819
Li: 0.911 0.998 0.819
Cu: 0.156 0.750 0.685
Cu: 0.344 0.250 0.185
Cu: 0.656 0.750 0.815
Cu: 0.844 0.250 0.315
Si: 0.170 0.250 0.671
Si: 0.330 0.750 0.171
Si: 0.670 0.250 0.829
Si: 0.830 0.750 0.329
O: 0.096 0.036 0.778
O: 0.096 0.464 0.778
O: 0.169 0.250 0.341
O: 0.183 0.750 0.276
O: 0.317 0.250 0.776
O: 0.331 0.750 0.841
O: 0.404 0.536 0.278
O: 0.404 0.964 0.278
O: 0.596 0.036 0.722
O: 0.596 0.464 0.722
O: 0.669 0.250 0.159
O: 0.683 0.750 0.224
O: 0.817 0.250 0.724
O: 0.831 0.750 0.659
O: 0.904 0.536 0.222
O: 0.904 0.964 0.222

Output
SG = Pnma, No. 62
Distance to the lowest polymorph of the same formula = 11 meV/atom


How do the records compare in formation enthalpy at 0 K? In the order shown, they have -2.06, -2.02, -1.18, -0.73, -1.90, -0.81, -2.33 eV per atom.